Record 1
# r²SCAN KCrCl3, optimized geometry
data_KCrCl3
_chemical_formula_sum 'K6 Cr6 Cl18'
_cell_length_a 6.9934
_cell_length_b 6.9934
_cell_length_c 16.9466
_cell_angle_alpha 90.00
_cell_angle_beta 90.00
_cell_angle_gamma 120.00
_space_group_name_H-M_alt 'R 3 c'
_space_group_IT_number 161
_space_group_name_Hall 'R 3 -2"c'
loop_
_atom_site_label
_atom_site_fract_x
_atom_site_fract_y
_atom_site_fract_z
K1 0.0000 0.0000 0.0000
Cr1 0.0000 0.0000 0.2517
Cl1 0.9997 0.4605 0.0015
# Energy of formation (kJ/mol of formula units): -811
# Crystal system: trigonal
# M_tot (μB per cell): 24.00

Record 2
# r²SCAN Ce3TaO7, optimized geometry
data_Ce3TaO7
_chemical_formula_sum 'Ce12 Ta4 O28'
_cell_length_a 11.046
_cell_length_b 7.543
_cell_length_c 7.717
_cell_angle_alpha 90.00
_cell_angle_beta 90.00
_cell_angle_gamma 90.00
_space_group_name_H-M_alt 'C m c m'
_space_group_IT_number 63
_space_group_name_Hall '-C 2c 2'
loop_
_atom_site_label
_atom_site_fract_x
_atom_site_fract_y
_atom_site_fract_z
Ce1 0.000 0.000 0.000
Ce2 0.230 0.290 0.250
Ta1 0.000 0.500 0.000
O1 0.000 0.438 0.250
O2 0.125 0.312 0.532
O3 0.131 0.022 0.250
# Energy of formation (kJ/mol of formula units): -3867
# Crystal system: orthorhombic
# M_tot (μB per cell): 12.00

Record 3
# r²SCAN Ca2W3O8, optimized geometry
data_Ca2W3O8
_chemical_formula_sum 'Ca4 W6 O16'
_cell_length_a 11.715
_cell_length_b 5.819
_cell_length_c 4.893
_cell_angle_alpha 90.00
_cell_angle_beta 104.70
_cell_angle_gamma 90.00
_space_group_name_H-M_alt 'C 1 2/m 1'
_space_group_IT_number 12
loop_
_space_group_symop_operation_xyz
'x,y,z'
'-x,-y,-z'
'-x,y,-z'
'x,-y,z'
'x+1/2,y+1/2,z'
'-x+1/2,-y+1/2,-z'
'-x+1/2,y+1/2,-z'
'x+1/2,-y+1/2,z'
loop_
_atom_site_label
_atom_site_fract_x
_atom_site_fract_y
_atom_site_fract_z
Ca1 0.227 0.000 0.172
W1 0.000 0.272 0.500
W2 0.000 0.500 0.000
O1 0.090 0.000 0.412
O2 0.110 0.266 0.893
O3 0.125 0.500 0.403
# Energy of formation (kJ/mol of formula units): -3076
# Crystal system: monoclinic
# M_tot (μB per cell): 0.24